# Li2Mn7F16 | the Materials Project | PBE with a Hubbard U | relaxed
# E, eV for the cell shown: -457.5
# M_tot, μB per formula unit: 35.0
# ΔH_f (0 K), eV per atom: -2.9190
# Energy with MP2020 corrections, eV/cell: -514.68
data_Li2Mn7F16
_space_group_name_H-M_alt 'R -3'
_space_group_IT_number 148
_space_group_name_Hall '-R 3'
_cell_length_a 6.5177
_cell_length_b 6.5177
_cell_length_c 26.4541
_cell_angle_alpha 90.00
_cell_angle_beta 90.00
_cell_angle_gamma 120.00
loop_
_atom_site_label
_atom_site_fract_x
_atom_site_fract_y
_atom_site_fract_z
Li1 0.0000 0.0000 0.1660
Mn1 0.0000 0.0000 0.5000
Mn2 0.0012 0.3677 0.3881
F1 0.0000 0.0000 0.0836
F2 0.0000 0.0000 0.2626
F3 0.0214 0.3855 0.1309
F4 0.0224 0.2908 0.6368

# Li3MnF5 | the Materials Project | PBE with a Hubbard U | relaxed
# E, eV for the cell shown: -189.8
# Energy above the lowest structure with this stoichiometry, eV/atom: 0.054
# M_tot, μB per formula unit: 5.0
# ΔH_f (0 K), eV per atom: -2.9975
# Energy with MP2020 corrections, eV/cell: -205.76
data_Li3MnF5
_space_group_name_H-M_alt 'P 41'
_space_group_IT_number 76
_cell_length_a 5.7884
_cell_length_b 5.7884
_cell_length_c 11.2477
_cell_angle_alpha 90.00
_cell_angle_beta 90.00
_cell_angle_gamma 90.00
loop_
_space_group_symop_operation_xyz
'x,y,z'
'-y,x,z+1/4'
'-x,-y,z+1/2'
'y,-x,z+3/4'
loop_
_atom_site_label
_atom_site_fract_x
_atom_site_fract_y
_atom_site_fract_z
Li1 0.0243 0.1665 0.0000
Li2 0.0829 0.3288 0.5261
Li3 0.2190 0.4434 0.2954
Mn1 0.2833 0.4874 0.8216
F1 0.0130 0.7677 0.8542
F2 0.0294 0.7511 0.3246
F3 0.1521 0.5795 0.6452
F4 0.2051 0.4910 0.0102
F5 0.3690 0.4422 0.4510

# LiMnF5 | the Materials Project | PBE with a Hubbard U | relaxed
# E, eV for the cell shown: -139.6
# Energy above the lowest structure with this stoichiometry, eV/atom: 0.078
# M_tot, μB per formula unit: 3.0
# Largest piezoelectric modulus, C/m2: 0.34
# ΔH_f (0 K), eV per atom: -2.6055
# Energy with MP2020 corrections, eV/cell: -155.53
data_LiMnF5
_space_group_name_H-M_alt 'P 41'
_space_group_IT_number 76
_cell_length_a 5.4730
_cell_length_b 5.4730
_cell_length_c 11.4921
_cell_angle_alpha 90.00
_cell_angle_beta 90.00
_cell_angle_gamma 90.00
loop_
_space_group_symop_operation_xyz
'x,y,z'
'-y,x,z+1/4'
'-x,-y,z+1/2'
'y,-x,z+3/4'
loop_
_atom_site_label
_atom_site_fract_x
_atom_site_fract_y
_atom_site_fract_z
Li1 0.0539 0.3154 0.0000
Mn1 0.1847 0.4807 0.2707
F1 0.0022 0.7287 0.3345
F2 0.0115 0.5160 0.1389
F3 0.0188 0.7695 0.8015
F4 0.2794 0.5837 0.9651
F5 0.2825 0.4299 0.4399